No. 1
## LiVTe2WO12 (GGA+U)

Data for a relaxed structure of LiVTe2WO12.

Values from the calculation:
Energy (eV per cell): -105.8

Unit cell a=5.1380 b=5.2861 c=7.3888 alpha=87.22 beta=89.86 gamma=89.96
Space group P1 (No. 1)
Inequivalent atoms, fractional coordinates:
Li (0.0000, 0.0000, 0.0000) [1 per cell]
V (0.9921, 0.4396, 0.2220) [1 per cell]
Te (0.0025, 0.4435, 0.7118) [1 per cell]
Te (0.4931, 0.9406, 0.2082) [1 per cell]
W (0.5060, 0.9422, 0.7037) [1 per cell]
O (0.1072, 0.4342, 0.4584) [1 per cell]
O (0.1878, 0.1264, 0.7680) [1 per cell]
O (0.1968, 0.7411, 0.1474) [1 per cell]
O (0.2868, 0.2363, 0.1519) [1 per cell]
O (0.3117, 0.6369, 0.7612) [1 per cell]
O (0.3927, 0.9378, 0.4600) [1 per cell]
O (0.6198, 0.9426, 0.9573) [1 per cell]
O (0.6922, 0.2516, 0.6529) [1 per cell]
O (0.7076, 0.6382, 0.2596) [1 per cell]
O (0.8029, 0.1366, 0.2533) [1 per cell]
O (0.8139, 0.7538, 0.6539) [1 per cell]
O (0.8961, 0.4403, 0.9580) [1 per cell]

---

No. 2
## VZnPbO5 (GGA+U)

Data for a relaxed structure of VZnPbO5.

Values from the calculation:
Energy (eV per cell): -188.2

Unit cell a=6.6093 b=6.2326 c=15.2325 alpha=90.00 beta=90.00 gamma=90.00
Space group Pnma (No. 62)
Inequivalent atoms, fractional coordinates:
V (0.1873, 0.2500, 0.2432) [4 per cell]
Zn (0.0200, 0.2500, 0.0643) [4 per cell]
Pb (0.1402, 0.2500, 0.6793) [4 per cell]
O (0.0000, 0.0000, 0.0000) [4 per cell]
O (0.0936, 0.7500, 0.8168) [4 per cell]
O (0.1260, 0.5284, 0.2666) [8 per cell]
O (0.2004, 0.7500, 0.6427) [4 per cell]

---

No. 3
## Li2Fe3P4O14 (GGA+U)

Data for a relaxed structure of Li2Fe3P4O14.

Values from the calculation:
Energy (eV per cell): -320.4

Unit cell a=5.2936 b=6.6091 c=16.0316 alpha=81.55 beta=82.38 gamma=72.02
Space group P-1 (No. 2)
Inequivalent atoms, fractional coordinates:
Li (0.0681, 0.2335, 0.4910) [2 per cell]
Li (0.3626, 0.6964, 0.6204) [2 per cell]
Fe (0.0350, 0.6240, 0.3121) [2 per cell]
Fe (0.1624, 0.2882, 0.0761) [2 per cell]
Fe (0.2531, 0.9707, 0.8332) [2 per cell]
P (0.1657, 0.0934, 0.2884) [2 per cell]
P (0.2810, 0.7820, 0.0384) [2 per cell]
P (0.3685, 0.4425, 0.8184) [2 per cell]
P (0.4365, 0.7520, 0.4254) [2 per cell]
O (0.0229, 0.2843, 0.3397) [2 per cell]
O (0.0294, 0.0325, 0.7211) [2 per cell]
O (0.1069, 0.9753, 0.0813) [2 per cell]
O (0.1366, 0.6158, 0.0343) [2 per cell]
O (0.1808, 0.6598, 0.8406) [2 per cell]
O (0.2161, 0.3033, 0.7904) [2 per cell]
O (0.2562, 0.3287, 0.5768) [2 per cell]
O (0.2922, 0.8571, 0.5048) [2 per cell]
O (0.3148, 0.5792, 0.4095) [2 per cell]
O (0.3295, 0.1423, 0.2064) [2 per cell]
O (0.3938, 0.9392, 0.3465) [2 per cell]
O (0.3975, 0.5310, 0.2425) [2 per cell]
O (0.4256, 0.8412, 0.9518) [2 per cell]
O (0.4636, 0.3206, 0.9084) [2 per cell]

---

No. 4
## BaMgW4O8 (GGA+U)

Data for a relaxed structure of BaMgW4O8.

Values from the calculation:
Energy (eV per cell): -93.1

Unit cell a=5.7430 b=5.7430 c=7.3210 alpha=90.00 beta=90.00 gamma=120.00
Space group P-31m (No. 162)
Inequivalent atoms, fractional coordinates:
Ba (0.0000, 0.0000, 0.0000) [1 per cell]
Mg (0.0000, 0.0000, 0.5000) [1 per cell]
W (0.3333, 0.6667, 0.2831) [4 per cell]
O (0.0000, 0.2900, 0.3161) [6 per cell]
O (0.3333, 0.6667, 0.0000) [2 per cell]

---

No. 5
## NiBr2O12 (GGA+U)

Data for a relaxed structure of NiBr2O12.

Values from the calculation:
Energy (eV per cell): -209.6

Unit cell a=9.5548 b=9.5548 c=9.5548 alpha=90.00 beta=90.00 gamma=90.00
Space group Pa-3 (No. 205)
Inequivalent atoms, fractional coordinates:
Ni (0.0000, 0.0000, 0.0000) [4 per cell]
Br (0.2365, 0.7365, 0.7635) [8 per cell]
O (0.0341, 0.6802, 0.4497) [24 per cell]
O (0.1228, 0.1554, 0.6890) [24 per cell]

---

No. 6
## Li3Mn2CoO6 (GGA+U)

Data for a relaxed structure of Li3Mn2CoO6.

Values from the calculation:
Energy (eV per cell): -151.6

Unit cell a=5.2523 b=8.7476 c=5.2392 alpha=90.00 beta=112.05 gamma=90.00
Space group C2 (No. 5)
Inequivalent atoms, fractional coordinates:
Li (0.0000, 0.0000, 0.0000) [2 per cell]
Li (0.0000, 0.3308, 0.0000) [2 per cell]
Li (0.0000, 0.6671, 0.0000) [2 per cell]
Mn (0.0000, 0.1698, 0.5000) [2 per cell]
Mn (0.0000, 0.8363, 0.5000) [2 per cell]
Co (0.0000, 0.4976, 0.5000) [2 per cell]
O (0.2238, 0.0035, 0.7284) [4 per cell]
O (0.2334, 0.3215, 0.7404) [4 per cell]
O (0.2406, 0.1748, 0.2873) [4 per cell]

---

No. 7
## Ti3Mn3Te2O16 (GGA+U)

Data for a relaxed structure of Ti3Mn3Te2O16.

Values from the calculation:
Energy (eV per cell): -352.7

Unit cell a=10.8055 b=6.0154 c=9.2862 alpha=90.00 beta=92.84 gamma=90.00
Space group Cm (No. 8)
Inequivalent atoms, fractional coordinates:
Ti (0.0000, 0.0000, 0.0000) [2 per cell]
Ti (0.0784, 0.2507, 0.5075) [4 per cell]
Mn (0.2508, 0.2535, 0.0103) [4 per cell]
Mn (0.3358, 0.0000, 0.5118) [2 per cell]
Te (0.3312, 0.5000, 0.7275) [2 per cell]
Te (0.4958, 0.0000, 0.2271) [2 per cell]
O (0.0208, 0.5000, 0.6119) [2 per cell]
O (0.0646, 0.2654, 0.1104) [4 per cell]
O (0.1403, 0.5000, 0.3687) [2 per cell]
O (0.1541, 0.0000, 0.4232) [2 per cell]
O (0.1628, 0.0000, 0.9243) [2 per cell]
O (0.1972, 0.5000, 0.8695) [2 per cell]
O (0.2491, 0.2689, 0.6148) [4 per cell]
O (0.3341, 0.0000, 0.1226) [2 per cell]
O (0.3373, 0.5000, 0.1018) [2 per cell]
O (0.4158, 0.2893, 0.8620) [4 per cell]
O (0.4386, 0.2208, 0.3644) [4 per cell]
O (0.4831, 0.5000, 0.6066) [2 per cell]

---

No. 8
## Li2MnF4 (GGA+U)

Data for a relaxed structure of Li2MnF4.

Values from the calculation:
Energy (eV per cell): -76.8

Unit cell a=6.1636 b=5.5320 c=5.8387 alpha=90.00 beta=116.85 gamma=90.00
Space group P2_1/c (No. 14)
Inequivalent atoms, fractional coordinates:
Li (0.0424, 0.2152, 0.4381) [4 per cell]
Mn (0.5000, 0.0000, 0.5000) [2 per cell]
F (0.1193, 0.6117, 0.8663) [4 per cell]
F (0.3702, 0.2143, 0.1614) [4 per cell]

---

No. 9
## Li4Cu3WO8 (GGA+U)

Data for a relaxed structure of Li4Cu3WO8.

Values from the calculation:
Energy (eV per cell): -89.8

Unit cell a=5.8256 b=5.9361 c=5.9965 alpha=117.41 beta=115.27 gamma=93.32
Space group P-1 (No. 2)
Inequivalent atoms, fractional coordinates:
Li (0.0000, 0.0000, 0.0000) [1 per cell]
Li (0.0000, 0.5000, 0.0000) [1 per cell]
Li (0.5000, 0.0000, 0.5000) [1 per cell]
Li (0.5000, 0.5000, 0.5000) [1 per cell]
Cu (0.0000, 0.0000, 0.5000) [1 per cell]
Cu (0.0000, 0.5000, 0.5000) [1 per cell]
Cu (0.5000, 0.0000, 0.0000) [1 per cell]
W (0.5000, 0.5000, 0.0000) [1 per cell]
O (0.2430, 0.7842, 0.5562) [2 per cell]
O (0.2628, 0.3050, 0.0421) [2 per cell]
O (0.2664, 0.2859, 0.5605) [2 per cell]
O (0.2969, 0.7548, 0.0423) [2 per cell]

---

No. 10
## MgFe3Co5O16 (GGA+U)

Data for a relaxed structure of MgFe3Co5O16.

Values from the calculation:
Energy (eV per cell): -147.8

Unit cell a=5.7991 b=5.8787 c=8.8838 alpha=88.28 beta=89.96 gamma=60.55
Space group P1 (No. 1)
Inequivalent atoms, fractional coordinates:
Mg (0.0000, 0.0000, 0.0000) [1 per cell]
Fe (0.0047, 0.4972, 0.1853) [1 per cell]
Fe (0.5005, 0.4969, 0.1851) [1 per cell]
Fe (0.8313, 0.3395, 0.6607) [1 per cell]
Co (0.0012, 0.0008, 0.4027) [1 per cell]
Co (0.3264, 0.3484, 0.8898) [1 per cell]
Co (0.3336, 0.8364, 0.6690) [1 per cell]
Co (0.5011, 0.0001, 0.1880) [1 per cell]
Co (0.8315, 0.8368, 0.6691) [1 per cell]
O (0.0029, 0.5071, 0.7733) [1 per cell]
O (0.0040, 0.9937, 0.7777) [1 per cell]
O (0.1416, 0.7184, 0.5477) [1 per cell]
O (0.1566, 0.1300, 0.5370) [1 per cell]
O (0.1869, 0.6274, 0.0447) [1 per cell]
O (0.1878, 0.1935, 0.0365) [1 per cell]
O (0.3081, 0.8513, 0.2833) [1 per cell]
O (0.3466, 0.3072, 0.2924) [1 per cell]
O (0.4904, 0.5058, 0.7739) [1 per cell]
O (0.5058, 0.9901, 0.7672) [1 per cell]
O (0.6202, 0.1932, 0.0381) [1 per cell]
O (0.6560, 0.6919, 0.0848) [1 per cell]
O (0.6580, 0.6859, 0.5623) [1 per cell]
O (0.7155, 0.1305, 0.5368) [1 per cell]
O (0.8434, 0.3161, 0.2879) [1 per cell]
O (0.8446, 0.8516, 0.2832) [1 per cell]

---

Q: The lowest energy belongs to which entry?
A: Ti3Mn3Te2O16